# 1
Na10Nb4Si11Ge4SO48 | PBE | relaxed

Unit cell a=17.7292 b=8.8582 c=22.1507 alpha=90.27 beta=90.21 gamma=119.99
Fractional positions:
Si  0.0283  0.3781  0.9115
Nb  0.6669  0.6741  0.8095
Ge  0.3366  0.3316  0.6855
O  0.6443  0.4581  0.4714
O  0.9180  0.5329  0.7461
O  0.0193  0.8337  0.6893
O  0.2564  0.1370  0.6440
Na  0.3309  0.9677  0.5854
O  0.5814  0.1974  0.6926
Na  0.1667  0.6573  0.6734
Si  0.3036  0.6608  0.9120
Si  0.3553  0.7078  0.2495
O  0.4123  0.0361  0.8078
O  0.5878  0.9760  0.1945
Si  0.9796  0.6337  0.0882
O  0.2290  0.2983  0.7452
Na  0.9858  0.6646  0.9125
Nb  0.3289  0.3263  0.4773
O  0.0762  0.9704  0.9070
O  0.5109  0.8266  0.6907
O  0.8519  0.1699  0.0282
O  0.9181  0.0292  0.8127
O  0.9056  0.9700  0.4086
O  0.4816  0.1570  0.5872
Na  0.8347  0.9654  0.5842
O  0.3517  0.1716  0.0272
O  0.3163  0.4879  0.6441
O  0.1020  0.1752  0.8051
Si  0.8556  0.7087  0.2494
Si  0.3328  0.0530  0.0883
O  0.9232  0.8167  0.5894
Si  0.6882  0.3201  0.0906
O  0.2523  0.1457  0.9230
Na  0.6624  0.6688  0.6639
O  0.4816  0.7959  0.8073
O  0.6838  0.8596  0.5775
O  0.6547  0.4804  0.7531
O  0.4152  0.5433  0.0287
Ge  0.1673  0.6831  0.8140
O  0.0823  0.4625  0.9754
O  0.6554  0.8377  0.9760
O  0.9093  0.2999  0.2452
O  0.9145  0.7953  0.3107
O  0.3228  0.1457  0.4179
O  0.7470  0.8589  0.3514
Si  0.0015  0.2914  0.2504
Si  0.6645  0.9580  0.9178
Na  0.9830  0.3011  0.4115
Na  0.3320  0.3400  0.3275
O  0.7511  0.8531  0.0828
Na  0.4825  0.3014  0.4124
O  0.4144  0.7952  0.3107
Na  0.0172  0.7019  0.5857
O  0.1794  0.8590  0.5785
O  0.3995  0.8385  0.9090
Na  0.6615  0.6605  0.1733
Si  0.3449  0.9931  0.7495
O  0.7540  0.6402  0.8555
O  0.0699  0.5155  0.8567
O  0.5924  0.0275  0.5873
Nb  0.1655  0.6701  0.0218
O  0.7592  0.3738  0.1444
O  0.2534  0.8120  0.7556
O  0.7594  0.7003  0.2546
Na  0.1624  0.6610  0.1719
O  0.1904  0.8769  0.8568
O  0.4292  0.5022  0.4194
Ge  0.9994  0.9991  0.8553
Na  0.5095  0.0012  0.4979
O  0.0726  0.6266  0.3570
Na  0.3161  0.9999  0.2495
Si  0.0087  0.7265  0.7518
Ge  0.4936  0.9941  0.3525
O  0.7523  0.1401  0.6417
O  0.5692  0.4963  0.8571
O  0.2651  0.6995  0.9748
O  0.9099  0.8446  0.9118
Si  0.8648  0.0044  0.7504
O  0.5081  0.1823  0.9129
O  0.7526  0.3590  0.4217
Na  0.3259  0.3390  0.8304
O  0.5795  0.6782  0.7530
Na  0.3319  0.6988  0.0874
Na  0.8161  0.9999  0.2504
O  0.4364  0.3660  0.6468
Si  0.6460  0.2871  0.7505
O  0.5842  0.7039  0.4717
O  0.0888  0.4861  0.2564
O  0.5732  0.6429  0.0796
O  0.9188  0.5472  0.0262
O  0.8521  0.1744  0.7463
O  0.9051  0.9641  0.6904
O  0.5783  0.9735  0.9137
O  0.1916  0.5049  0.3562
Ge  0.1672  0.6466  0.3129
Ge  0.3447  0.3542  0.1866
O  0.2496  0.8541  0.0804
Na  0.0120  0.0118  0.0009
Ge  0.9934  0.9938  0.3529
O  0.5970  0.1672  0.8086
O  0.7693  0.7005  0.9755
O  0.6002  0.0248  0.3052
O  0.7375  0.1673  0.5251
O  0.4064  0.5035  0.7442
O  0.9214  0.0316  0.0915
Na  0.8218  0.6391  0.7494
O  0.9347  0.3679  0.6408
Si  0.6874  0.0464  0.5839
Na  0.0179  0.3336  0.0874
O  0.2427  0.6320  0.8544
O  0.3463  0.5139  0.2436
Nb  0.8326  0.3361  0.9810
O  0.7347  0.2979  0.0280
O  0.0727  0.6414  0.0796
O  0.2296  0.1566  0.2478
O  0.4405  0.4968  0.1440
Na  0.8544  0.0367  0.9148
O  0.3425  0.1766  0.7442
Si  0.3076  0.9484  0.4102
O  0.3950  0.9709  0.6899
O  0.7557  0.1445  0.9221
O  0.9804  0.1621  0.3092
Ge  0.9971  0.0061  0.1475
O  0.4093  0.2994  0.2452
O  0.0165  0.2044  0.1895
O  0.5169  0.2045  0.1893
Si  0.8339  0.0517  0.0901
O  0.5893  0.4856  0.2564
Na  0.3469  0.0331  0.9161
Si  0.4918  0.6981  0.7477
S  0.6409  0.0004  0.2500
O  0.9839  0.8081  0.8101
O  0.1786  0.4979  0.0800
Si  0.1644  0.9581  0.9129
Si  0.8071  0.9468  0.4110
Nb  0.4971  0.9945  0.8541
O  0.1454  0.4605  0.4713
Si  0.5217  0.3780  0.9167
O  0.4169  0.3030  0.5245
O  0.6925  0.5045  0.3564
O  0.0896  0.1547  0.0944
Na  0.5072  0.9972  0.0021
Nb  0.4975  0.9961  0.6446
O  0.9385  0.4949  0.1427
O  0.4844  0.8207  0.0954
Ge  0.8447  0.3545  0.1870
O  0.7439  0.3166  0.7482
O  0.2591  0.6999  0.2547
O  0.2668  0.8311  0.4722
O  0.0871  0.2006  0.6942
Nb  0.3312  0.3428  0.9793
O  0.7302  0.1574  0.2476
Si  0.0287  0.6801  0.4110
O  0.9204  0.2914  0.5242
O  0.7504  0.6522  0.5782
O  0.9842  0.8206  0.0950
O  0.7661  0.8291  0.7537
Si  0.3315  0.6093  0.5864
O  0.4804  0.1619  0.3092
Si  0.4770  0.3368  0.5853
O  0.6828  0.8678  0.8589
Na  0.4955  0.3550  0.7480
Si  0.8340  0.6246  0.5851
O  0.5896  0.1546  0.0939
O  0.1449  0.8281  0.9720
O  0.4201  0.0297  0.0914
O  0.8464  0.5145  0.2436
Si  0.9817  0.3258  0.5848
S  0.1419  0.2829  0.7500
Ge  0.0011  0.9928  0.6463
O  0.5717  0.6256  0.3556
Si  0.1882  0.3216  0.0903
O  0.4147  0.8088  0.5885
O  0.5744  0.1800  0.4048
Si  0.1626  0.3679  0.4112
Na  0.0103  0.0101  0.4991
O  0.0734  0.5074  0.5792
Si  0.6631  0.3676  0.4117
Si  0.1881  0.0531  0.5885
Si  0.4790  0.6327  0.0885
S  0.1406  0.9998  0.2503
Nb  0.6672  0.6700  0.0242
O  0.8237  0.1463  0.4181
O  0.5127  0.8464  0.4056
O  0.0145  0.1816  0.9073
O  0.9300  0.3562  0.9216
Na  0.8331  0.6997  0.0885
O  0.9867  0.1500  0.5937
O  0.7668  0.8290  0.4722
Ge  0.4956  0.0051  0.1474
O  0.0873  0.9748  0.1947
O  0.6515  0.8428  0.2524
O  0.6799  0.4974  0.0800
O  0.1490  0.4568  0.7540
Ge  0.6673  0.6460  0.3133
Na  0.3510  0.6669  0.4126
O  0.0908  0.6939  0.7575
O  0.8267  0.4994  0.9199
O  0.5736  0.5073  0.5790
Na  0.5152  0.3311  0.0873
Nb  0.8388  0.3347  0.6914
O  0.9308  0.5026  0.4205
Nb  0.8329  0.3285  0.4768
O  0.3457  0.5292  0.5233
O  0.2323  0.2963  0.0281
O  0.8523  0.5353  0.5255
O  0.3174  0.1408  0.1482
Na  0.8505  0.6679  0.4125
O  0.1508  0.8420  0.2527
O  0.8172  0.1416  0.1485
O  0.8993  0.8383  0.1907
O  0.8204  0.5077  0.6449
O  0.0127  0.8459  0.4065
O  0.2481  0.6426  0.5791
Nb  0.6613  0.6597  0.5193
O  0.0996  0.0244  0.3054
O  0.3989  0.8379  0.1909
O  0.2468  0.8585  0.3513
O  0.3170  0.4934  0.9200
O  0.2333  0.1681  0.5270
O  0.0738  0.1802  0.4052
Si  0.8135  0.6687  0.9153
O  0.0905  0.0250  0.5928
O  0.4248  0.3549  0.9215
Na  0.8316  0.3396  0.3272
O  0.4056  0.9696  0.4086
Nb  0.1667  0.6619  0.5204
O  0.0826  0.7030  0.4751
Na  0.8322  0.3253  0.8330
O  0.2591  0.3745  0.1445
Si  0.5266  0.6780  0.4091
O  0.2509  0.3563  0.4198
O  0.5814  0.4695  0.9770
Si  0.5015  0.2913  0.2504

Output
E ... -7.10 eV per atom
Total magnetization ... 0.00 μB/cell
Formation energy ... -2.73 eV/atom
Space group ... P1 (1)



# 2
PtCl2 | PBE | relaxed

Unit cell a=8.7170 b=12.0936 c=9.1813 alpha=73.75 beta=118.34 gamma=126.12
Fractional positions:
Cl  0.7687  0.0000  0.5375
Cl  0.8173  0.1674  0.2635
Pt  0.2536  0.3838  0.8372
Cl  0.0289  0.4452  0.6948
Cl  0.3341  0.4452  0.3052
Cl  0.2313  0.0000  0.4625
Cl  0.4485  0.2860  0.0000
Cl  0.5515  0.7140  0.0000
Cl  0.5538  0.1674  0.7365
Pt  0.5836  0.6162  0.8372
Cl  0.9711  0.5548  0.3052
Cl  0.6659  0.5548  0.6948
Pt  0.3857  0.8734  0.0000
Pt  0.4164  0.3838  0.1628
Pt  0.7464  0.6162  0.1628
Pt  0.6143  0.1266  0.0000
Cl  0.4462  0.8326  0.2635
Cl  0.1827  0.8326  0.7365

Output
E ... -3.05 eV per atom
Total magnetization ... 0.19 μB/cell
Formation energy ... -0.20 eV/atom
Space group ... C2/m (12)



# 3
Sr2CuO3 | PBE | relaxed

Unit cell a=3.5487 b=3.9732 c=6.8827 alpha=106.78 beta=104.94 gamma=90.00
Fractional positions:
Sr  0.6468  0.1468  0.2936
Sr  0.3532  0.8532  0.7064
O  0.0000  0.0000  0.0000
Cu  0.0000  0.5000  0.0000
O  0.8453  0.3453  0.6906
O  0.1547  0.6547  0.3094

Output
E ... -5.81 eV per atom
Formation energy ... -2.44 eV/atom
Excess energy over the best structure of this formula in the dataset ... 0.0 meV per atom
Space group ... Immm (71)



# 4
CaF3 | PBE | relaxed

Unit cell a=4.1954 b=4.1954 c=4.1954 alpha=126.16 beta=126.16 gamma=79.62
Fractional positions:
F  0.5000  0.5000  0.0000
F  0.2500  0.7500  0.5000
F  0.7500  0.2500  0.5000
Ca  0.0000  0.0000  0.0000

Output
E ... -4.61 eV per atom
Total magnetization ... 1.00 μB/cell
Formation energy ... -3.02 eV/atom
Space group ... I4/mmm (139)



# 5
BaMgAg4O8 | PBE | relaxed

Unit cell a=5.7533 b=5.7533 c=7.2983 alpha=90.00 beta=90.00 gamma=120.00
Fractional positions:
Ag  0.3333  0.6667  0.2858
Ba  0.0000  0.0000  0.0000
O  0.2791  0.2791  0.6848
O  0.0000  0.7209  0.6848
O  0.7209  0.0000  0.6848
O  0.7209  0.7209  0.3152
Ag  0.6667  0.3333  0.7142
O  0.6667  0.3333  0.0000
O  0.2791  0.0000  0.3152
Ag  0.6667  0.3333  0.2858
Ag  0.3333  0.6667  0.7142
O  0.3333  0.6667  0.0000
O  0.0000  0.2791  0.3152
Mg  0.0000  0.0000  0.5000

Output
E ... -4.37 eV per atom
Total magnetization ... 0.02 μB/cell
Formation energy ... -0.88 eV/atom
Space group ... P-31m (162)



# 6
AlPO4 | PBE | relaxed

Unit cell a=18.7356 b=18.7356 c=8.5283 alpha=89.99 beta=89.99 gamma=119.97
Fractional positions:
O  0.0668  0.4090  0.8514
P  0.3256  0.8211  0.3885
O  0.4042  0.5899  0.2989
P  0.5770  0.9909  0.3900
O  0.5856  0.1737  0.8495
O  0.3297  0.4202  0.8529
Al  0.4166  0.9898  0.2611
O  0.6476  0.0802  0.8586
O  0.4202  0.3297  0.8529
O  0.9891  0.4800  0.7796
O  0.4215  0.0836  0.3082
Al  0.3271  0.8203  0.7643
O  0.4948  0.9902  0.3746
O  0.2916  0.4884  0.0645
O  0.2385  0.7476  0.3693
O  0.9902  0.4948  0.3746
O  0.3338  0.4115  0.3102
P  0.8127  0.4868  0.8901
Al  0.1556  0.4926  0.7645
Al  0.5644  0.5644  0.2645
O  0.7969  0.4913  0.0652
O  0.3276  0.8985  0.3188
O  0.9872  0.4356  0.0603
P  0.1585  0.4945  0.3894
P  0.4820  0.6526  0.3887
O  0.9959  0.6001  0.5640
P  0.3140  0.4918  0.8907
O  0.5682  0.6472  0.8423
P  0.5662  0.5662  0.8851
O  0.5486  0.5486  0.0618
O  0.0836  0.4215  0.3082
O  0.1396  0.4957  0.5639
O  0.4884  0.2916  0.0645
O  0.4807  0.2411  0.7910
O  0.6001  0.9959  0.5640
O  0.8991  0.5583  0.8471
Al  0.4934  0.3166  0.2626
O  0.4847  0.4847  0.3723
P  0.4031  0.4031  0.3892
Al  0.3166  0.4934  0.2626
O  0.5899  0.4042  0.2989
O  0.3905  0.5760  0.8551
O  0.4026  0.8046  0.8536
O  0.4115  0.3338  0.3102
O  0.1763  0.5764  0.3131
O  0.4973  0.4973  0.7865
O  0.5675  0.9113  0.3180
O  0.7354  0.2292  0.7913
O  0.3475  0.8343  0.5635
O  0.9092  0.3310  0.8483
O  0.4944  0.7393  0.3705
O  0.4800  0.9891  0.7796
P  0.8211  0.3256  0.3885
O  0.1887  0.6831  0.0646
O  0.8050  0.3886  0.3019
O  0.6449  0.0668  0.3036
Al  0.9909  0.5741  0.7619
Al  0.8138  0.4851  0.2645
O  0.5586  0.6518  0.3218
P  0.1676  0.6623  0.8909
Al  0.6622  0.1667  0.2635
O  0.4714  0.6294  0.5633
O  0.3310  0.9092  0.8483
O  0.8343  0.3475  0.5635
P  0.4130  0.9880  0.8865
Al  0.4818  0.6506  0.7641
O  0.6294  0.4714  0.5633
O  0.5760  0.3905  0.8551
O  0.4913  0.7969  0.0652
Al  0.4851  0.8138  0.2645
Al  0.4047  0.4047  0.7627
P  0.4868  0.8127  0.8901
O  0.5583  0.8991  0.8471
Al  0.4926  0.1556  0.7645
Al  0.6506  0.4818  0.7641
O  0.9113  0.5675  0.3180
O  0.7393  0.4944  0.3705
P  0.6526  0.4820  0.3887
Al  0.5741  0.9909  0.7619
O  0.6831  0.1887  0.0646
O  0.6518  0.5586  0.3218
O  0.2292  0.7354  0.7913
Al  0.9898  0.4166  0.2611
O  0.0668  0.6449  0.3036
O  0.5764  0.1763  0.3131
O  0.7476  0.2385  0.3693
P  0.9909  0.5770  0.3900
O  0.4090  0.0668  0.8514
Al  0.8203  0.3271  0.7643
O  0.2335  0.4831  0.3723
P  0.6623  0.1676  0.8909
O  0.7490  0.4968  0.7945
P  0.4945  0.1585  0.3894
O  0.4831  0.2335  0.3723
P  0.4918  0.3140  0.8907
O  0.3886  0.8050  0.3019
O  0.4957  0.1396  0.5639
P  0.9880  0.4130  0.8865
O  0.3829  0.3829  0.5638
O  0.4968  0.7490  0.7945
O  0.8985  0.3276  0.3188
Al  0.1667  0.6622  0.2635
O  0.0802  0.6476  0.8586
O  0.6472  0.5682  0.8423
O  0.8046  0.4026  0.8536
O  0.2411  0.4807  0.7910
O  0.1737  0.5856  0.8495
O  0.4356  0.9872  0.0603

Output
E ... -7.46 eV per atom
Total magnetization ... 0.04 μB/cell
Formation energy ... -3.10 eV/atom
Space group ... Cm (8)